--- 1 ---
! PBE Mg6MnNi, relaxed; values from VASP
&SYSTEM
  ibrav = 0, nat = 16, ntyp = 3
/
ATOMIC_SPECIES
Mn 54.94 Mn.upf
Mg 24.30 Mg.upf
Ni 58.69 Ni.upf
CELL_PARAMETERS angstrom
4.789 0.000 0.000
0.000 6.047 0.000
0.000 0.000 10.418
ATOMIC_POSITIONS crystal
Mn 0.500 0.000 0.833
Mn 0.500 0.500 0.333
Mg 0.000 0.255 0.911
Mg 0.000 0.500 0.171
Mg 0.500 0.751 0.584
Mg 0.000 0.745 0.911
Mg 0.000 0.000 0.671
Mg 0.000 0.000 0.174
Mg 0.500 0.749 0.084
Mg 0.000 0.500 0.674
Mg 0.000 0.245 0.411
Mg 0.500 0.251 0.084
Mg 0.000 0.755 0.411
Mg 0.500 0.249 0.584
Ni 0.500 0.500 0.833
Ni 0.500 0.000 0.333
! Theoretical density   2.86 g/cm³
! Size of the total moment   0.481 μB/atom
! Volume   18.9 A^3/atom


--- 2 ---
! PBE Mg6MnNi, relaxed; values from VASP
&SYSTEM
  ibrav = 0, nat = 16, ntyp = 3
/
ATOMIC_SPECIES
Mg 24.30 Mg.upf
Mn 54.94 Mn.upf
Ni 58.69 Ni.upf
CELL_PARAMETERS angstrom
4.798 0.000 0.000
0.000 6.032 0.000
0.000 0.000 10.465
ATOMIC_POSITIONS crystal
Mg 0.500 0.500 0.664
Mg 0.000 0.500 0.835
Mg 0.000 0.263 0.088
Mg 0.500 0.259 0.410
Mg 0.000 0.000 0.335
Mg 0.000 0.237 0.588
Mg 0.500 0.741 0.410
Mg 0.500 0.759 0.910
Mg 0.000 0.763 0.588
Mg 0.500 0.241 0.910
Mg 0.000 0.737 0.088
Mg 0.500 0.000 0.164
Mn 0.000 0.000 0.823
Mn 0.000 0.500 0.323
Ni 0.500 0.500 0.181
Ni 0.500 0.000 0.681
! Theoretical density   2.85 g/cm³
! Size of the total moment   0.491 μB/atom
! Volume   18.9 A^3/atom


Result of the stability comparison: 2 is the most stable of them.


--- 1 ---
! PBE RbMg14Mn, relaxed; values from VASP
&SYSTEM
  ibrav = 0, nat = 16, ntyp = 3
/
ATOMIC_SPECIES
Mn 54.94 Mn.upf
Mg 24.30 Mg.upf
Rb 85.47 Rb.upf
CELL_PARAMETERS angstrom
-5.211 0.634 -3.817
5.798 -1.300 -2.613
-1.891 -10.212 0.885
ATOMIC_POSITIONS crystal
Mn 0.167 0.333 0.125
Mg 0.833 0.667 0.866
Mg 0.833 0.667 0.384
Mg 0.841 0.170 0.907
Mg 0.330 0.170 0.907
Mg 0.330 0.659 0.907
Mg 0.841 0.170 0.343
Mg 0.177 0.839 0.625
Mg 0.661 0.839 0.625
Mg 0.661 0.323 0.625
Mg 0.330 0.659 0.343
Mg 0.330 0.170 0.343
Mg 0.673 0.345 0.125
Mg 0.673 0.827 0.125
Mg 0.155 0.827 0.125
Rb 0.167 0.333 0.625
! Theoretical density   2.10 g/cm³
! Size of the total moment   0.003 μB/atom
! Space-group type   P-6m2 (187)
! Volume   23.8 A^3/atom


--- 2 ---
! PBE RbMg14Mn, relaxed; values from VASP
&SYSTEM
  ibrav = 0, nat = 16, ntyp = 3
/
ATOMIC_SPECIES
Mg 24.30 Mg.upf
Mn 54.94 Mn.upf
Rb 85.47 Rb.upf
CELL_PARAMETERS angstrom
6.514 -0.005 0.000
-3.262 5.649 0.000
0.000 0.000 10.511
ATOMIC_POSITIONS crystal
Mg 0.338 0.182 0.865
Mg 0.840 0.170 0.885
Mg 0.338 0.656 0.865
Mg 0.666 0.331 0.625
Mg 0.659 0.336 0.125
Mg 0.338 0.182 0.385
Mg 0.169 0.834 0.625
Mg 0.659 0.824 0.125
Mg 0.164 0.332 0.625
Mg 0.840 0.170 0.365
Mg 0.666 0.835 0.625
Mg 0.338 0.656 0.385
Mg 0.821 0.661 0.858
Mg 0.821 0.661 0.392
Mn 0.181 0.340 0.125
Rb 0.164 0.832 0.125
! Theoretical density   2.06 g/cm³
! Size of the total moment   0.226 μB/atom
! Space-group type   Amm2 (38)
! Volume   24.2 A^3/atom


Result of the stability comparison: 2 is the most stable of them.


--- 1 ---
! PBE MgMn4S8, relaxed; values from VASP
&SYSTEM
  ibrav = 0, nat = 13, ntyp = 3
/
ATOMIC_SPECIES
Mg 24.30 Mg.upf
Mn 54.94 Mn.upf
S 32.06 S.upf
CELL_PARAMETERS angstrom
6.053 -0.004 3.489
2.014 5.697 3.489
-0.004 -0.003 6.984
ATOMIC_POSITIONS crystal
Mg 0.877 0.873 0.877
Mn 0.495 0.494 0.017
Mn 0.495 0.017 0.495
Mn 0.495 0.494 0.495
Mn 0.017 0.494 0.495
S 0.294 0.735 0.735
S 0.719 0.260 0.261
S 0.735 0.735 0.294
S 0.261 0.718 0.261
S 0.736 0.736 0.736
S 0.261 0.260 0.261
S 0.736 0.292 0.736
S 0.261 0.260 0.719
! Theoretical density   3.45 g/cm³
! Size of the total moment   0.781 μB/atom
! Space-group type   Imm2 (44)
! Volume   18.5 A^3/atom


--- 2 ---
! PBE MgMn4S8, relaxed; values from VASP
&SYSTEM
  ibrav = 0, nat = 13, ntyp = 3
/
ATOMIC_SPECIES
S 32.06 S.upf
Mn 54.94 Mn.upf
Mg 24.30 Mg.upf
CELL_PARAMETERS angstrom
-2.972 2.156 5.934
-4.198 -4.255 3.602
2.044 -2.623 6.135
ATOMIC_POSITIONS crystal
S 0.259 0.259 0.259
S 0.724 0.256 0.256
S 0.744 0.276 0.744
S 0.276 0.744 0.744
S 0.256 0.256 0.724
S 0.256 0.724 0.256
S 0.744 0.744 0.276
S 0.741 0.741 0.741
Mn 0.500 0.500 0.000
Mn 0.500 0.000 0.500
Mn 0.500 0.500 0.500
Mn 0.000 0.500 0.500
Mg 0.000 0.000 0.000
! Theoretical density   3.50 g/cm³
! Size of the total moment   0.304 μB/atom
! Space-group type   R-3m (166)
! Volume   18.3 A^3/atom


--- 3 ---
! PBE MgMn4S8, relaxed; values from VASP
&SYSTEM
  ibrav = 0, nat = 13, ntyp = 3
/
ATOMIC_SPECIES
S 32.06 S.upf
Mn 54.94 Mn.upf
Mg 24.30 Mg.upf
CELL_PARAMETERS angstrom
-5.212 4.337 2.673
-7.106 -1.617 0.090
-3.869 -1.381 6.021
ATOMIC_POSITIONS crystal
S 0.243 0.731 0.243
S 0.757 0.757 0.269
S 0.262 0.262 0.262
S 0.738 0.738 0.738
S 0.243 0.243 0.731
S 0.757 0.269 0.757
S 0.731 0.243 0.243
S 0.269 0.757 0.757
Mn 0.000 0.000 0.000
Mn 0.000 0.500 0.500
Mn 0.500 0.000 0.500
Mn 0.500 0.500 0.000
Mg 0.500 0.500 0.500
! Theoretical density   3.41 g/cm³
! Space-group type   R-3m (166)
! Volume   18.7 A^3/atom


Result of the stability comparison: 3 is the most stable of them.


--- 1 ---
! PBE MgMn4Zn2S8, relaxed; values from VASP
&SYSTEM
  ibrav = 0, nat = 15, ntyp = 4
/
ATOMIC_SPECIES
S 32.06 S.upf
Mn 54.94 Mn.upf
Mg 24.30 Mg.upf
Zn 65.41 Zn.upf
CELL_PARAMETERS angstrom
-5.332 -5.332 0.000
-5.330 -0.002 -5.304
-0.002 -5.330 -5.304
ATOMIC_POSITIONS crystal
S 0.243 0.243 0.243
S 0.752 0.751 0.245
S 0.243 0.753 0.753
S 0.244 0.769 0.244
S 0.244 0.244 0.769
S 0.770 0.243 0.243
S 0.752 0.245 0.751
S 0.751 0.753 0.753
Mn 0.016 0.016 0.452
Mn 0.017 0.016 0.016
Mn 0.016 0.452 0.016
Mn 0.450 0.016 0.016
Mg 0.874 0.876 0.876
Zn 0.375 0.375 0.375
Zn 0.624 0.626 0.626
! Theoretical density   3.48 g/cm³
! Size of the total moment   1.183 μB/atom
! Space-group type   Imm2 (44)
! Volume   20.1 A^3/atom


--- 2 ---
! PBE MgMn4Zn2S8, relaxed; values from VASP
&SYSTEM
  ibrav = 0, nat = 15, ntyp = 4
/
ATOMIC_SPECIES
Mn 54.94 Mn.upf
S 32.06 S.upf
Mg 24.30 Mg.upf
Zn 65.41 Zn.upf
CELL_PARAMETERS angstrom
3.872 6.369 2.000
6.650 2.416 -3.081
-0.267 5.545 -4.459
ATOMIC_POSITIONS crystal
Mn 0.942 0.474 0.040
Mn 0.474 0.942 0.040
Mn 0.988 0.988 0.511
Mn 0.987 0.987 0.010
S 0.760 0.237 0.250
S 0.237 0.760 0.250
S 0.768 0.768 0.207
S 0.768 0.768 0.753
S 0.259 0.797 0.720
S 0.797 0.259 0.720
S 0.247 0.247 0.775
S 0.247 0.247 0.227
Mg 0.403 0.403 0.843
Zn 0.660 0.660 0.588
Zn 0.365 0.365 0.383
! Theoretical density   3.57 g/cm³
! Size of the total moment   1.200 μB/atom
! Space-group type   Cm (8)
! Volume   19.6 A^3/atom


Result of the stability comparison: 2 is the most stable of them.


--- 1 ---
! PBE Mg6TiMn, relaxed; values from VASP
&SYSTEM
  ibrav = 0, nat = 16, ntyp = 3
/
ATOMIC_SPECIES
Ti 47.87 Ti.upf
Mg 24.30 Mg.upf
Mn 54.94 Mn.upf
CELL_PARAMETERS angstrom
4.961 0.000 0.000
0.000 6.110 0.000
0.000 0.000 10.874
ATOMIC_POSITIONS crystal
Ti 0.500 0.500 0.168
Ti 0.500 0.000 0.668
Mg 0.500 0.748 0.418
Mg 0.000 0.249 0.088
Mg 0.500 0.752 0.918
Mg 0.000 0.500 0.826
Mg 0.000 0.500 0.328
Mg 0.500 0.248 0.918
Mg 0.000 0.749 0.588
Mg 0.000 0.000 0.828
Mg 0.500 0.252 0.418
Mg 0.000 0.000 0.326
Mg 0.000 0.751 0.088
Mg 0.000 0.251 0.588
Mn 0.500 0.500 0.665
Mn 0.500 0.000 0.165
! Theoretical density   2.51 g/cm³
! Size of the total moment   0.473 μB/atom
! Volume   20.6 A^3/atom


--- 2 ---
! PBE Mg6TiMn, relaxed; values from VASP
&SYSTEM
  ibrav = 0, nat = 16, ntyp = 3
/
ATOMIC_SPECIES
Mg 24.30 Mg.upf
Ti 47.87 Ti.upf
Mn 54.94 Mn.upf
CELL_PARAMETERS angstrom
4.864 0.000 0.000
0.000 6.142 0.000
0.000 0.000 10.989
ATOMIC_POSITIONS crystal
Mg 0.000 0.500 0.831
Mg 0.500 0.259 0.420
Mg 0.500 0.000 0.166
Mg 0.000 0.742 0.082
Mg 0.000 0.000 0.331
Mg 0.500 0.759 0.920
Mg 0.000 0.758 0.582
Mg 0.500 0.500 0.666
Mg 0.000 0.258 0.082
Mg 0.500 0.741 0.420
Mg 0.000 0.242 0.582
Mg 0.500 0.241 0.920
Ti 0.500 0.000 0.687
Ti 0.500 0.500 0.187
Mn 0.000 0.000 0.812
Mn 0.000 0.500 0.312
! Theoretical density   2.52 g/cm³
! Size of the total moment   0.241 μB/atom
! Volume   20.5 A^3/atom


Result of the stability comparison: 2 is the most stable of them.


--- 1 ---
! PBE YMg6Mn, relaxed; values from VASP
&SYSTEM
  ibrav = 0, nat = 16, ntyp = 3
/
ATOMIC_SPECIES
Mg 24.30 Mg.upf
Y 88.91 Y.upf
Mn 54.94 Mn.upf
CELL_PARAMETERS angstrom
5.059 0.000 0.000
0.000 6.473 0.000
0.000 0.000 11.259
ATOMIC_POSITIONS crystal
Mg 0.500 0.260 0.418
Mg 0.000 0.755 0.080
Mg 0.500 0.240 0.918
Mg 0.000 0.000 0.334
Mg 0.000 0.500 0.834
Mg 0.500 0.500 0.663
Mg 0.500 0.000 0.163
Mg 0.000 0.255 0.580
Mg 0.000 0.245 0.080
Mg 0.500 0.760 0.918
Mg 0.500 0.740 0.418
Mg 0.000 0.745 0.580
Y 0.500 0.500 0.174
Y 0.500 0.000 0.674
Mn 0.000 0.500 0.333
Mn 0.000 0.000 0.833
! Theoretical density   2.61 g/cm³
! Size of the total moment   0.447 μB/atom
! Volume   23.0 A^3/atom


--- 2 ---
! PBE YMg6Mn, relaxed; values from VASP
&SYSTEM
  ibrav = 0, nat = 16, ntyp = 3
/
ATOMIC_SPECIES
Y 88.91 Y.upf
Mg 24.30 Mg.upf
Mn 54.94 Mn.upf
CELL_PARAMETERS angstrom
-2.078 3.724 -2.796
-5.039 -3.787 -1.299
-5.303 3.915 9.156
ATOMIC_POSITIONS crystal
Y 0.500 0.000 0.667
Y 0.500 0.500 0.167
Mg 0.000 0.500 0.827
Mg 0.000 0.000 0.836
Mg 0.500 0.745 0.418
Mg 0.000 0.000 0.327
Mg 0.500 0.245 0.918
Mg 0.500 0.255 0.418
Mg 0.000 0.237 0.085
Mg 0.000 0.263 0.585
Mg 0.000 0.737 0.585
Mg 0.000 0.763 0.085
Mg 0.000 0.500 0.336
Mg 0.500 0.755 0.918
Mn 0.500 0.000 0.163
Mn 0.500 0.500 0.663
! Theoretical density   2.60 g/cm³
! Size of the total moment   0.462 μB/atom
! Volume   23.1 A^3/atom


Result of the stability comparison: 1 is the most stable of them.


--- 1 ---
! PBE Mg3Mo, relaxed; values from VASP
&SYSTEM
  ibrav = 0, nat = 4, ntyp = 2
/
ATOMIC_SPECIES
Mg 24.30 Mg.upf
Mo 95.94 Mo.upf
CELL_PARAMETERS angstrom
2.873 0.000 0.000
0.000 4.905 0.000
0.000 0.000 5.421
ATOMIC_POSITIONS crystal
Mg 0.000 0.500 0.325
Mg 0.000 0.000 0.655
Mg 0.500 0.500 0.866
Mo 0.500 0.000 0.154
! Theoretical density   3.67 g/cm³
! Size of the total moment   0.001 μB/atom
! Space-group type   Pmm2 (25)
! Volume   19.1 A^3/atom


--- 2 ---
! PBE Mg3Mo, relaxed; values from VASP
&SYSTEM
  ibrav = 0, nat = 4, ntyp = 2
/
ATOMIC_SPECIES
Mg 24.30 Mg.upf
Mo 95.94 Mo.upf
CELL_PARAMETERS angstrom
4.201 0.000 0.000
0.000 4.201 0.000
0.000 0.000 4.201
ATOMIC_POSITIONS crystal
Mg 0.500 0.500 0.000
Mg 0.000 0.500 0.500
Mg 0.500 0.000 0.500
Mo 0.000 0.000 0.000
! Theoretical density   3.78 g/cm³
! Size of the total moment   0.003 μB/atom
! Space-group type   Pm-3m (221)
! Volume   18.5 A^3/atom


Result of the stability comparison: 2 is the most stable of them.